Computed, not measured: a relaxed structure of La3InS6 at the PBE-GGA level of DFT.

a = 14.029 Å, b = 17.022 Å, c = 4.101 Å
α = 90.00°, β = 90.00°, γ = 90.00°
Sites, in units of the cell vectors:
1 La 0.037 0.220 0.245
2 La 0.190 0.643 0.259
3 La 0.249 0.390 0.241
4 La 0.251 0.890 0.759
5 La 0.310 0.143 0.741
6 La 0.463 0.720 0.755
7 La 0.537 0.280 0.755
8 La 0.690 0.857 0.741
9 La 0.749 0.110 0.759
10 La 0.751 0.610 0.241
11 La 0.810 0.357 0.259
12 La 0.963 0.780 0.245
13 In 0.000 0.000 0.913
14 In 0.000 0.500 0.746
15 In 0.500 0.000 0.254
16 In 0.500 0.500 0.087
17 S 0.020 0.397 0.247
18 S 0.102 0.912 0.266
19 S 0.108 0.107 0.745
20 S 0.113 0.745 0.751
21 S 0.177 0.283 0.741
22 S 0.186 0.517 0.749
23 S 0.314 0.017 0.251
24 S 0.323 0.783 0.259
25 S 0.387 0.245 0.249
26 S 0.392 0.607 0.255
27 S 0.398 0.412 0.734
28 S 0.480 0.897 0.753
29 S 0.520 0.103 0.753
30 S 0.602 0.588 0.734
31 S 0.608 0.393 0.255
32 S 0.613 0.755 0.249
33 S 0.677 0.217 0.259
34 S 0.686 0.983 0.251
35 S 0.814 0.483 0.749
36 S 0.823 0.717 0.741
37 S 0.887 0.255 0.751
38 S 0.892 0.893 0.745
39 S 0.898 0.088 0.266
40 S 0.980 0.603 0.247

DFT formation energy = -2.088 eV per atom

***

Computed, not measured: a relaxed structure of CrCdCu3Se4 at the PBE-GGA level of DFT.

a = 5.848 Å, b = 5.848 Å, c = 5.848 Å
α = 90.00°, β = 90.00°, γ = 90.00°
Sites, in units of the cell vectors:
1 Cr 0.000 0.000 0.000
2 Cd 0.500 0.500 0.500
3 Cu 0.000 0.000 0.500
4 Cu 0.000 0.500 0.000
5 Cu 0.500 0.000 0.000
6 Se 0.237 0.237 0.237
7 Se 0.237 0.763 0.763
8 Se 0.763 0.237 0.763
9 Se 0.763 0.763 0.237

DFT formation energy = -0.431 eV per atom

***

Q: Look up the DFT formation energy of the first one.
A: -2.088 eV per atom

***

Q: DFT formation energy of number 2 (CrCdCu3Se4)?
A: -0.431 eV per atom

***

Q: Among the records above, which one has the lowest DFT formation energy?
A: La3InS6

***

Q: Look up the DFT formation energy of the second one.
A: -0.431 eV per atom